Compound: Ba3Ce2C5O15F2
Source: the Materials Project
Functional: PBE
Structure: optimized geometry

## Properties
M_tot	4.0	Bohr magnetons per cell
formation enthalpy at 0 K	-2.8435	eV per atom
raw total energy	-7.680	eV per atom
ρ	4.60	g/cm³
space-group type	C2/m (12)

Geometry as POSCAR:
```
Ba3Ce2C5O15F2
1.0
-1.3983 -11.0278 -0.1224
3.6707 -10.4768 0.5881
-1.7491 -0.9969 13.2524
O Ce C F Ba
30 4 10 4 6
direct
0.2940 0.7305 0.8138 O
0.7305 0.2940 0.8138 O
0.7055 0.7055 0.4969 O
0.8397 0.4029 0.5603 O
0.0102 0.0102 0.6150 O
0.7037 0.1412 0.6597 O
0.4087 0.9694 0.0839 O
0.3063 0.3063 0.7204 O
0.4320 0.9989 0.7249 O
0.8588 0.2963 0.3403 O
0.8978 0.8978 0.8681 O
0.0011 0.5680 0.2751 O
0.5680 0.0011 0.2751 O
0.0306 0.5913 0.9161 O
0.1412 0.7037 0.6597 O
0.7060 0.2695 0.1862 O
0.9694 0.4087 0.0839 O
0.4029 0.8397 0.5603 O
0.2695 0.7060 0.1862 O
0.5993 0.5993 0.7661 O
0.6937 0.6937 0.2796 O
0.2963 0.8588 0.3403 O
0.4007 0.4007 0.2339 O
0.5913 0.0306 0.9161 O
0.2945 0.2945 0.5031 O
0.1022 0.1022 0.1319 O
0.1603 0.5971 0.4397 O
0.9898 0.9898 0.3850 O
0.5971 0.1603 0.4397 O
0.9989 0.4320 0.7249 O
0.4002 0.4002 0.8148 Ce
0.8945 0.8945 0.2880 Ce
0.1055 0.1055 0.7120 Ce
0.5998 0.5998 0.1852 Ce
0.8395 0.8395 0.9022 C
0.4587 0.4587 0.2001 C
0.0479 0.0479 0.3528 C
0.3497 0.3497 0.4589 C
0.9521 0.9521 0.6472 C
0.6503 0.6503 0.5411 C
0.7537 0.7537 0.2750 C
0.2463 0.2463 0.7250 C
0.1605 0.1605 0.0978 C
0.5413 0.5413 0.7999 C
0.1249 0.1249 0.8846 F
0.4262 0.4262 0.9824 F
0.5738 0.5738 0.0176 F
0.8751 0.8751 0.1154 F
0.8077 0.8077 0.6003 Ba
0.5000 0.5000 0.5000 Ba
0.1923 0.1923 0.3997 Ba
0.6862 0.6862 0.9048 Ba
0.0000 0.0000 0.0000 Ba
0.3138 0.3138 0.0952 Ba
```



Compound: Li6Mn2N3
Source: the Materials Project
Functional: PBE
Structure: optimized geometry

## Properties
M_tot	7.3	Bohr magnetons per cell
formation enthalpy at 0 K	-0.3949	eV per atom
raw total energy	-5.277	eV per atom
ρ	2.39	g/cm³
space-group type	Amm2 (38)

Geometry as POSCAR:
```
Li6Mn2N3
1.0
0.0000 0.0000 -3.7455
-6.4466 0.0241 0.0000
-3.2442 5.5708 0.0000
Li N Mn
6 3 2
direct
0.5000 0.9854 0.2601 Li
0.0000 0.6302 0.3698 Li
0.5000 0.7399 0.0146 Li
0.5000 0.6668 0.6600 Li
0.5000 0.3400 0.3332 Li
0.5000 0.2873 0.7127 Li
0.5000 0.3615 0.0006 N
0.5000 0.6280 0.3720 N
0.5000 0.9994 0.6385 N
0.0000 0.3650 0.0033 Mn
0.0000 0.9967 0.6350 Mn
```



Compound: Na2YTaSiP2O12
Source: the Materials Project
Functional: PBE
Structure: optimized geometry

## Properties
M_tot	0.0	Bohr magnetons per cell
formation enthalpy at 0 K	-3.0449	eV per atom
raw total energy	-7.695	eV per atom
ρ	3.58	g/cm³
space-group type	Cc (9)

Geometry as POSCAR:
```
Na2YTaSiP2O12
1.0
9.1112 0.0365 0.0136
-4.5240 7.9087 -0.0136
0.0343 -0.0198 23.0631
O P Ta Si Y Na
72 12 6 6 6 12
direct
0.2890 0.4700 0.7569 O
0.1651 0.1978 0.6951 O
0.4653 0.3007 0.0289 O
0.3198 0.4546 0.4702 O
0.8741 0.5219 0.1418 O
0.1387 0.6448 0.0794 O
0.5454 0.6802 0.9702 O
0.8599 0.3486 0.2462 O
0.3655 0.4956 0.3619 O
0.6212 0.1390 0.4227 O
0.7975 0.9951 0.4128 O
0.4740 0.1707 0.5264 O
0.6994 0.1656 0.0295 O
0.8022 0.8349 0.1951 O
0.6311 0.4850 0.9219 O
0.0281 0.1987 0.1901 O
0.5300 0.7110 0.2569 O
0.1762 0.9861 0.9105 O
0.1356 0.5015 0.8657 O
0.3286 0.4635 0.0754 O
0.8531 0.0464 0.0875 O
0.6514 0.1401 0.7462 O
0.3646 0.8621 0.8576 O
0.1895 0.1520 0.0891 O
0.1799 0.0301 0.5924 O
0.8153 0.7877 0.3019 O
0.2092 0.0073 0.3080 O
0.0049 0.2025 0.9128 O
0.4610 0.3231 0.7408 O
0.6993 0.5347 0.5289 O
0.8780 0.3471 0.6374 O
0.1544 0.6956 0.4703 O
0.8344 0.3006 0.5295 O
0.8068 0.0157 0.8053 O
0.8480 0.8105 0.5891 O
0.0341 0.8366 0.6988 O
0.5179 0.1512 0.9257 O
0.8029 0.7958 0.9088 O
0.6529 0.1220 0.1374 O
0.9927 0.7908 0.8080 O
0.6769 0.5390 0.2408 O
0.8488 0.4821 0.4257 O
0.1904 0.4896 0.2572 O
0.9536 0.1469 0.5875 O
0.0139 0.8238 0.4105 O
0.2042 0.1971 0.4088 O
0.5361 0.8660 0.0768 O
0.6537 0.5318 0.6373 O
0.4781 0.1259 0.6418 O
0.2934 0.8192 0.2551 O
0.8013 0.9719 0.6901 O
0.8610 0.3788 0.9227 O
0.1320 0.4550 0.9749 O
0.9843 0.1932 0.3053 O
0.8617 0.5376 0.7446 O
0.4985 0.8644 0.3657 O
0.5104 0.8096 0.7572 O
0.5150 0.3689 0.4219 O
0.3552 0.8613 0.5794 O
0.4682 0.3463 0.1373 O
0.1340 0.4639 0.5768 O
0.4624 0.1383 0.2446 O
0.5365 0.6714 0.5754 O
0.9699 0.8201 0.0924 O
0.5450 0.8680 0.4749 O
0.3044 0.8456 0.9703 O
0.1379 0.6354 0.3576 O
0.5044 0.6345 0.8619 O
0.2123 0.1847 0.8019 O
0.1634 0.9659 0.1988 O
0.1808 0.7066 0.7551 O
0.8293 0.5260 0.0264 O
0.2840 0.2971 0.7494 P
0.0101 0.7127 0.7524 P
0.7029 0.7160 0.2494 P
0.3464 0.3786 0.4164 P
0.6804 0.6336 0.5835 P
0.6183 0.9625 0.4188 P
0.0375 0.3817 0.9188 P
0.6787 0.0453 0.0832 P
0.3664 0.3196 0.0835 P
0.6214 0.6536 0.9164 P
0.2873 0.9899 0.2524 P
0.9547 0.3213 0.5832 P
0.3428 0.6720 0.8142 Ta
0.6694 0.3387 0.4810 Ta
0.6613 0.3306 0.9810 Ta
0.0006 0.9975 0.1476 Ta
0.3280 0.6572 0.3142 Ta
0.0025 0.9994 0.6476 Ta
0.0078 0.3002 0.2491 Si
0.3697 0.0448 0.5847 Si
0.0323 0.6584 0.4168 Si
0.6998 0.9922 0.7491 Si
0.3416 0.9677 0.9168 Si
0.9552 0.6303 0.0847 Si
0.6616 0.3281 0.1863 Y
0.6719 0.3384 0.6863 Y
0.9900 0.0034 0.3529 Y
0.9966 0.0100 0.8529 Y
0.3245 0.6608 0.5197 Y
0.3392 0.6755 0.0197 Y
0.9978 0.9905 0.4973 Na
0.3652 0.0102 0.7460 Na
0.0332 0.3476 0.0839 Na
0.9868 0.6823 0.9171 Na
0.3177 0.0132 0.4171 Na
0.0095 0.0022 0.9973 Na
0.6524 0.9668 0.5839 Na
0.6716 0.3247 0.8309 Na
0.9898 0.6348 0.2460 Na
0.3197 0.6507 0.6637 Na
0.3493 0.6803 0.1637 Na
0.6753 0.3284 0.3309 Na
```



Compound: Te16Rh9
Source: the Materials Project
Functional: PBE
Structure: optimized geometry

## Properties
formation enthalpy at 0 K	-0.3943	eV per atom
raw total energy	-5.057	eV per atom
ρ	8.03	g/cm³
space-group type	P2/m (10)

Geometry as POSCAR:
```
Te16Rh9
1.0
-6.6245 -0.0701 4.4949
0.5234 -8.7804 0.6345
4.9689 -1.1184 7.3056
Te Rh
16 9
direct
0.5000 0.2914 0.0414 Te
0.0000 0.7017 0.9620 Te
0.0000 0.2078 0.4589 Te
0.7485 0.9552 0.2164 Te
0.7454 0.4573 0.7107 Te
0.7485 0.0448 0.7836 Te
0.5000 0.7086 0.9586 Te
0.7454 0.5427 0.2893 Te
0.2515 0.9552 0.2164 Te
0.5000 0.2051 0.4632 Te
0.0000 0.7922 0.5411 Te
0.2515 0.0448 0.7836 Te
0.0000 0.2983 0.0380 Te
0.2546 0.5427 0.2893 Te
0.5000 0.7949 0.5368 Te
0.2546 0.4573 0.7107 Te
0.5000 0.2511 0.7550 Rh
0.0000 0.2559 0.7444 Rh
0.2442 0.0000 0.5000 Rh
0.0000 0.0000 0.0000 Rh
0.7453 0.5000 0.0000 Rh
0.5000 0.7489 0.2450 Rh
0.2547 0.5000 0.0000 Rh
0.0000 0.7441 0.2556 Rh
0.7558 0.0000 0.5000 Rh
```



Compound: Ce2VCo16
Source: the Materials Project
Functional: PBE
Structure: optimized geometry

## Properties
M_tot	36.3	Bohr magnetons per cell
formation enthalpy at 0 K	-0.0989	eV per atom
raw total energy	-7.188	eV per atom
ρ	8.67	g/cm³
space-group type	C2/m (12)

Geometry as POSCAR:
```
Ce2VCo16
1.0
-5.7707 -1.2002 -5.6292
1.4232 7.5909 -3.0774
5.6491 1.0552 -6.0146
Ce Co V
4 32 2
direct
0.2467 0.9998 0.0004 Ce
0.2606 0.6674 0.6653 Ce
0.7533 0.0002 0.9996 Ce
0.7394 0.3326 0.3347 Ce
0.7501 0.9557 0.3725 Co
0.7501 0.6718 0.3725 Co
0.7502 0.9556 0.6719 Co
0.5193 0.1669 0.1672 Co
0.5000 0.0000 0.5000 Co
0.2499 0.0443 0.6275 Co
0.0259 0.8309 0.3382 Co
0.6100 0.6668 0.6665 Co
0.7503 0.3723 0.9555 Co
0.0000 0.5000 0.0000 Co
0.2499 0.3282 0.6275 Co
0.2497 0.3279 0.0445 Co
0.3900 0.3332 0.3335 Co
0.2497 0.6277 0.0445 Co
0.4807 0.3340 0.8328 Co
0.4807 0.8331 0.8328 Co
0.5000 0.5000 0.5000 Co
0.7503 0.6721 0.9555 Co
0.9741 0.1691 0.6618 Co
0.2498 0.6275 0.3281 Co
0.5193 0.6660 0.1672 Co
0.5000 0.5000 0.0000 Co
0.9741 0.1690 0.1692 Co
0.5196 0.1670 0.6660 Co
0.2498 0.0444 0.3281 Co
0.7502 0.3725 0.6719 Co
0.0259 0.8310 0.8308 Co
0.9741 0.6618 0.1692 Co
0.0000 0.0000 0.5000 Co
0.0259 0.3382 0.8308 Co
0.0000 0.5000 0.5000 Co
0.4804 0.8330 0.3340 Co
0.8866 0.6668 0.6663 V
0.1134 0.3332 0.3337 V
```



Compound: U2Al9Co3
Source: the Materials Project
Functional: PBE
Structure: optimized geometry

## Properties
M_tot	8.2	Bohr magnetons per cell
formation enthalpy at 0 K	-0.3345	eV per atom
raw total energy	-5.879	eV per atom
ρ	6.70	g/cm³
space-group type	Cmcm (63)

Geometry as POSCAR:
```
U2Al9Co3
1.0
3.7611 -6.4167 0.0000
3.7611 6.4167 0.0000
0.0000 0.0000 9.1989
U Al Co
4 18 6
direct
0.3259 0.0051 0.7500 U
0.9949 0.6741 0.2500 U
0.0051 0.3259 0.7500 U
0.6741 0.9949 0.2500 U
0.1263 0.1263 0.2500 Al
0.6636 0.0004 0.5728 Al
0.3332 0.3332 0.5476 Al
0.3410 0.5568 0.2500 Al
0.6590 0.4432 0.7500 Al
0.6668 0.6668 0.4524 Al
0.0004 0.6636 0.9272 Al
0.6636 0.0004 0.9272 Al
0.0004 0.6636 0.5728 Al
0.6668 0.6668 0.0476 Al
0.9996 0.3364 0.0728 Al
0.9996 0.3364 0.4272 Al
0.3364 0.9996 0.4272 Al
0.3332 0.3332 0.9524 Al
0.3364 0.9996 0.0728 Al
0.8737 0.8737 0.7500 Al
0.4432 0.6590 0.7500 Al
0.5568 0.3410 0.2500 Al
0.6733 0.3267 0.0000 Co
0.3267 0.6733 0.5000 Co
0.0000 0.0000 0.0000 Co
0.0000 0.0000 0.5000 Co
0.3267 0.6733 0.0000 Co
0.6733 0.3267 0.5000 Co
```



Compound: NaMg6Zr
Source: the Materials Project
Functional: PBE
Structure: optimized geometry

## Properties
M_tot	0.8	Bohr magnetons per cell
formation enthalpy at 0 K	0.1503	eV per atom
raw total energy	-2.284	eV per atom
ρ	2.29	g/cm³

Geometry as POSCAR:
```
NaMg6Zr
1.0
5.1687 0.0000 0.0000
0.0000 6.4919 0.0000
0.0000 0.0000 11.2385
Mg Na Zr
12 2 2
direct
0.5000 0.7569 0.9141 Mg
0.0000 0.7501 0.0819 Mg
0.0000 0.5000 0.8359 Mg
0.5000 0.2569 0.4141 Mg
0.0000 0.2501 0.5819 Mg
0.5000 0.0000 0.1662 Mg
0.5000 0.2431 0.9141 Mg
0.5000 0.7431 0.4141 Mg
0.0000 0.0000 0.3359 Mg
0.0000 0.7499 0.5819 Mg
0.5000 0.5000 0.6662 Mg
0.0000 0.2499 0.0819 Mg
0.5000 0.0000 0.6636 Na
0.5000 0.5000 0.1636 Na
0.0000 0.0000 0.8424 Zr
0.0000 0.5000 0.3424 Zr
```



Compound: Sm10S19
Source: the Materials Project
Functional: PBE
Structure: optimized geometry

## Properties
M_tot	0.0	Bohr magnetons per cell
formation enthalpy at 0 K	-2.1287	eV per atom
raw total energy	-6.136	eV per atom
ρ	5.57	g/cm³
space-group type	P4_2/n (86)

Geometry as POSCAR:
```
Sm10S19
1.0
8.8485 0.0000 0.0000
0.0000 8.8485 0.0000
0.0000 0.0000 16.0761
Sm S
20 38
direct
0.1520 0.0411 0.8782 Sm
0.9451 0.6457 0.8967 Sm
0.3543 0.4451 0.3967 Sm
0.0411 0.3480 0.6218 Sm
0.3480 0.4589 0.8782 Sm
0.8480 0.9589 0.1218 Sm
0.8543 0.9451 0.6033 Sm
0.2500 0.7500 0.6151 Sm
0.7500 0.2500 0.8849 Sm
0.4451 0.1457 0.1033 Sm
0.1457 0.0549 0.3967 Sm
0.7500 0.2500 0.3849 Sm
0.5549 0.8543 0.8967 Sm
0.0549 0.3543 0.1033 Sm
0.9589 0.6520 0.3782 Sm
0.4589 0.1520 0.6218 Sm
0.6457 0.5549 0.6033 Sm
0.6520 0.5411 0.1218 Sm
0.2500 0.7500 0.1151 Sm
0.5411 0.8480 0.3782 Sm
0.5532 0.8516 0.5622 S
0.4511 0.1519 0.9270 S
0.9254 0.1121 0.7498 S
0.3481 0.4511 0.5730 S
0.9697 0.1943 0.2508 S
0.0489 0.3481 0.9270 S
0.8057 0.4697 0.7508 S
0.5489 0.8481 0.0730 S
0.4697 0.6943 0.7492 S
0.0303 0.8057 0.7492 S
0.8516 0.9468 0.9378 S
0.8481 0.9511 0.4270 S
0.2500 0.2500 0.7500 S
0.7500 0.7500 0.2500 S
0.6484 0.5532 0.9378 S
0.7500 0.2500 0.5651 S
0.1121 0.5746 0.7502 S
0.7500 0.2500 0.0651 S
0.6519 0.5489 0.4270 S
0.4254 0.6121 0.2502 S
0.9511 0.6519 0.0730 S
0.8879 0.4254 0.2498 S
0.6121 0.0746 0.2498 S
0.1519 0.0489 0.5730 S
0.5303 0.3057 0.2508 S
0.6943 0.0303 0.7508 S
0.9468 0.6484 0.5622 S
0.3879 0.9254 0.7502 S
0.3516 0.4468 0.0622 S
0.1484 0.0532 0.0622 S
0.2500 0.7500 0.4349 S
0.0532 0.3516 0.4378 S
0.1943 0.5303 0.2492 S
0.4468 0.1484 0.4378 S
0.5746 0.3879 0.7498 S
0.3057 0.9697 0.2492 S
0.2500 0.7500 0.9349 S
0.0746 0.8879 0.2502 S
```